No. 1
{"formula": "AlZnIr2", "functional": "r²SCAN", "state": "relaxed", "vol_a3_per_cell": 53.95, "formation_energy_ev_per_atom": -0.6938, "crystal_system": "cubic", "magmom_total_mub_per_atom": 0.0000, "lattice": [[0.0000, 2.9991, 2.9991], [2.9991, 0.0000, 2.9991], [2.9991, 2.9991, 0.0000]], "species": ["Al", "Zn", "Ir", "Ir"], "frac_coords": [[0.2500, 0.2500, 0.2500], [0.7500, 0.7500, 0.7500], [0.0000, 0.0000, 0.0000], [0.5000, 0.5000, 0.5000]]}

***

No. 2
{"formula": "Zr6Al16Ir7", "functional": "r²SCAN", "state": "relaxed", "vol_a3_per_cell": 463.88, "formation_energy_ev_per_atom": -0.9665, "crystal_system": "cubic", "magmom_total_mub_per_atom": 0.0015, "lattice": [[-8.0147, 0.3388, -3.3390], [-6.1319, 4.7663, 3.8965], [-2.8455, 7.3118, -3.7337]], "species": ["Zr", "Zr", "Zr", "Zr", "Zr", "Zr", "Al", "Al", "Al", "Al", "Al", "Al", "Al", "Al", "Al", "Al", "Al", "Al", "Al", "Al", "Al", "Al", "Ir", "Ir", "Ir", "Ir", "Ir", "Ir", "Ir"], "frac_coords": [[0.6896, 0.6897, 0.3104], [0.3104, 0.6897, 0.3103], [0.6896, 0.3104, 0.3104], [0.3104, 0.3103, 0.6896], [0.6896, 0.3103, 0.6897], [0.3104, 0.6896, 0.6896], [0.8803, 0.8802, 0.3593], [0.8803, 0.3593, 0.8802], [0.3593, 0.8802, 0.8803], [0.8803, 0.8802, 0.8802], [0.1197, 0.1198, 0.6407], [0.1197, 0.6407, 0.1198], [0.6407, 0.1198, 0.1197], [0.1197, 0.1198, 0.1198], [0.6632, 0.6632, 0.0104], [0.6632, 0.0104, 0.6632], [0.0105, 0.6632, 0.6632], [0.6632, 0.6632, 0.6632], [0.3368, 0.3368, 0.9896], [0.3368, 0.9896, 0.3368], [0.9895, 0.3368, 0.3368], [0.3368, 0.3368, 0.3368], [0.0000, 0.0000, 0.0000], [0.0000, 0.0000, 0.5000], [0.5000, 0.0000, 0.5000], [0.0000, 0.5000, 0.5000], [0.5000, 0.5000, 0.0000], [0.0000, 0.5000, 0.0000], [0.5000, 0.0000, 0.0000]]}

***

No. 3
{"formula": "K2AlMo3P8O28", "functional": "r²SCAN", "state": "relaxed", "vol_a3_per_cell": 535.86, "formation_energy_ev_per_atom": -2.4248, "crystal_system": "triclinic", "magmom_total_mub_per_atom": 0.1667, "lattice": [[-1.9549, 2.5272, 6.8071], [-7.0351, -5.6361, -1.6903], [-0.5955, -7.9835, 5.1208]], "species": ["K", "K", "Al", "Mo", "Mo", "Mo", "P", "P", "P", "P", "P", "P", "P", "P", "O", "O", "O", "O", "O", "O", "O", "O", "O", "O", "O", "O", "O", "O", "O", "O", "O", "O", "O", "O", "O", "O", "O", "O", "O", "O", "O", "O"], "frac_coords": [[0.0000, 0.2500, 0.2500], [0.0000, 0.7500, 0.7500], [0.5000, 0.7500, 0.7500], [0.9962, 0.9994, 0.0037], [0.0038, 0.5006, 0.4963], [0.5000, 0.2500, 0.2500], [0.2399, 0.2074, 0.5961], [0.2447, 0.7150, 0.0837], [0.7601, 0.2926, 0.9039], [0.7553, 0.7850, 0.4163], [0.6163, 0.6757, 0.0675], [0.6174, 0.1619, 0.5836], [0.3837, 0.8243, 0.4325], [0.3826, 0.3381, 0.9164], [0.0959, 0.0500, 0.7604], [0.1065, 0.5530, 0.2502], [0.9041, 0.4500, 0.7396], [0.8935, 0.9470, 0.2498], [0.7982, 0.7729, 0.0675], [0.7972, 0.2699, 0.5763], [0.2018, 0.7271, 0.4325], [0.2028, 0.2301, 0.9237], [0.3526, 0.3098, 0.0947], [0.3641, 0.8119, 0.5998], [0.6474, 0.1902, 0.4053], [0.6359, 0.6881, 0.9002], [0.4465, 0.2364, 0.6175], [0.4507, 0.7526, 0.1056], [0.5535, 0.2636, 0.8825], [0.5493, 0.7474, 0.3944], [0.1989, 0.3746, 0.5542], [0.1923, 0.8757, 0.0538], [0.8011, 0.1254, 0.9458], [0.8077, 0.6243, 0.4462], [0.2544, 0.1666, 0.4560], [0.2694, 0.6823, 0.9391], [0.7456, 0.3334, 0.0440], [0.7306, 0.8177, 0.5609], [0.5490, 0.4864, 0.2141], [0.5612, 0.9738, 0.7148], [0.4510, 0.0136, 0.2859], [0.4388, 0.5262, 0.7852]]}

***

No. 4
{"formula": "K2Al2Sb3", "functional": "r²SCAN", "state": "relaxed", "vol_a3_per_cell": 1811.30, "formation_energy_ev_per_atom": -0.4910, "crystal_system": "monoclinic", "magmom_total_mub_per_atom": 0.0000, "lattice": [[-0.9670, -3.5252, 6.3022], [4.3976, -12.6504, -6.4014], [15.8903, 3.1920, 4.2237]], "species": ["K", "K", "K", "K", "K", "K", "K", "K", "K", "K", "K", "K", "K", "K", "K", "K", "Al", "Al", "Al", "Al", "Al", "Al", "Al", "Al", "Al", "Al", "Al", "Al", "Al", "Al", "Al", "Al", "Sb", "Sb", "Sb", "Sb", "Sb", "Sb", "Sb", "Sb", "Sb", "Sb", "Sb", "Sb", "Sb", "Sb", "Sb", "Sb", "Sb", "Sb", "Sb", "Sb", "Sb", "Sb", "Sb", "Sb"], "frac_coords": [[0.9701, 0.8589, 0.9926], [0.4701, 0.1411, 0.5074], [0.0299, 0.1411, 0.0074], [0.5299, 0.8589, 0.4926], [0.5479, 0.3500, 0.0182], [0.0479, 0.6500, 0.4818], [0.4521, 0.6500, 0.9818], [0.9521, 0.3500, 0.5182], [0.5321, 0.0747, 0.1092], [0.0321, 0.9253, 0.3908], [0.4679, 0.9253, 0.8908], [0.9679, 0.0747, 0.6092], [0.9451, 0.5568, 0.8957], [0.4451, 0.4432, 0.6043], [0.0549, 0.4432, 0.1043], [0.5549, 0.5568, 0.3957], [0.2826, 0.3127, 0.8267], [0.7826, 0.6873, 0.6733], [0.7174, 0.6873, 0.1733], [0.2174, 0.3127, 0.3267], [0.7890, 0.9060, 0.7305], [0.2890, 0.0940, 0.7695], [0.2110, 0.0940, 0.2695], [0.7110, 0.9060, 0.2305], [0.7664, 0.1844, 0.8212], [0.2664, 0.8156, 0.6788], [0.2336, 0.8156, 0.1788], [0.7336, 0.1844, 0.3212], [0.7620, 0.4052, 0.7612], [0.2620, 0.5948, 0.7388], [0.2380, 0.5948, 0.2388], [0.7380, 0.4052, 0.2612], [0.9633, 0.0287, 0.8233], [0.4633, 0.9713, 0.6767], [0.0367, 0.9713, 0.1767], [0.5367, 0.0287, 0.3233], [0.4503, 0.1648, 0.9008], [0.9503, 0.8352, 0.5992], [0.5497, 0.8352, 0.0992], [0.0497, 0.1648, 0.4008], [0.9441, 0.3284, 0.8865], [0.4441, 0.6716, 0.6135], [0.0559, 0.6716, 0.1135], [0.5559, 0.3284, 0.3865], [0.8243, 0.2528, 0.1751], [0.3243, 0.7472, 0.3249], [0.1757, 0.7472, 0.8249], [0.6757, 0.2528, 0.6751], [0.4573, 0.4748, 0.8322], [0.9573, 0.5252, 0.6678], [0.5427, 0.5252, 0.1678], [0.0427, 0.4748, 0.3322], [0.2215, 0.2464, 0.1780], [0.7215, 0.7536, 0.3220], [0.7785, 0.7536, 0.8220], [0.2785, 0.2464, 0.6780]]}

***

No. 5
{"formula": "KAlSb4", "functional": "r²SCAN", "state": "relaxed", "vol_a3_per_cell": 811.46, "formation_energy_ev_per_atom": -0.3110, "crystal_system": "orthorhombic", "magmom_total_mub_per_atom": 0.0000, "lattice": [[4.2542, 0.0000, 0.0000], [0.0000, 10.5286, 0.0000], [0.0000, 0.0000, 18.1166]], "species": ["K", "K", "K", "K", "Al", "Al", "Al", "Al", "Sb", "Sb", "Sb", "Sb", "Sb", "Sb", "Sb", "Sb", "Sb", "Sb", "Sb", "Sb", "Sb", "Sb", "Sb", "Sb"], "frac_coords": [[0.2500, 0.3230, 0.9336], [0.7500, 0.6770, 0.0664], [0.2500, 0.8230, 0.5664], [0.7500, 0.1770, 0.4336], [0.2500, 0.1815, 0.1317], [0.7500, 0.8185, 0.8683], [0.2500, 0.6815, 0.3683], [0.7500, 0.3185, 0.6317], [0.7500, 0.8283, 0.3991], [0.2500, 0.1717, 0.6009], [0.7500, 0.3283, 0.1009], [0.2500, 0.6717, 0.8991], [0.7500, 0.3877, 0.7750], [0.2500, 0.6123, 0.2250], [0.7500, 0.8877, 0.7250], [0.2500, 0.1123, 0.2750], [0.7500, 0.5343, 0.5498], [0.2500, 0.4657, 0.4502], [0.7500, 0.0343, 0.9502], [0.2500, 0.9657, 0.0498], [0.7500, 0.9312, 0.2532], [0.2500, 0.0688, 0.7468], [0.7500, 0.4312, 0.2468], [0.2500, 0.5688, 0.7532]]}

***

No. 6
{"formula": "K3AlSe3", "functional": "r²SCAN", "state": "relaxed", "vol_a3_per_cell": 880.83, "formation_energy_ev_per_atom": -1.3957, "crystal_system": "monoclinic", "magmom_total_mub_per_atom": 0.0000, "lattice": [[-2.7642, -11.5005, 5.6347], [6.9239, -3.0766, -2.8828], [9.3953, 0.0013, 4.6116]], "species": ["K", "K", "K", "K", "K", "K", "K", "K", "K", "K", "K", "K", "Al", "Al", "Al", "Al", "Se", "Se", "Se", "Se", "Se", "Se", "Se", "Se", "Se", "Se", "Se", "Se"], "frac_coords": [[0.3123, 0.1511, 0.0736], [0.6877, 0.8489, 0.9264], [0.8123, 0.8489, 0.4264], [0.8980, 0.3222, 0.3978], [0.6193, 0.3776, 0.4704], [0.1193, 0.6224, 0.0296], [0.3807, 0.6224, 0.5296], [0.8807, 0.3776, 0.9704], [0.6020, 0.3222, 0.8978], [0.1020, 0.6778, 0.6022], [0.3980, 0.6778, 0.1022], [0.1877, 0.1511, 0.5736], [0.0624, 0.9429, 0.1583], [0.5624, 0.0571, 0.3417], [0.4376, 0.9429, 0.6583], [0.9376, 0.0571, 0.8417], [0.3976, 0.1711, 0.3695], [0.8976, 0.8289, 0.1305], [0.6024, 0.8289, 0.6305], [0.1024, 0.1711, 0.8695], [0.6858, 0.3265, 0.1977], [0.1858, 0.6735, 0.3023], [0.3142, 0.6735, 0.8023], [0.8142, 0.3265, 0.6977], [0.5477, 0.8703, 0.2371], [0.0477, 0.1297, 0.2629], [0.4523, 0.1297, 0.7629], [0.9523, 0.8703, 0.7371]]}

***

No. 7
{"formula": "KAlTe2", "functional": "r²SCAN", "state": "relaxed", "vol_a3_per_cell": 263.02, "formation_energy_ev_per_atom": -0.9589, "crystal_system": "tetragonal", "magmom_total_mub_per_atom": 0.0000, "lattice": [[-1.3860, 4.1312, 5.4509], [-5.9138, -1.0058, 3.7257], [2.2982, -1.8136, 6.4261]], "species": ["K", "K", "Al", "Al", "Te", "Te", "Te", "Te"], "frac_coords": [[0.7500, 0.0000, 0.0000], [0.2500, 0.0000, 0.0000], [0.7500, 0.5000, 0.5000], [0.2500, 0.5000, 0.5000], [0.1626, 0.5000, 0.1748], [0.3374, 0.8252, 0.5000], [0.6626, 0.1748, 0.5000], [0.8374, 0.5000, 0.8252]]}

***

No. 8
{"formula": "KAlTe2", "functional": "r²SCAN", "state": "relaxed", "vol_a3_per_cell": 1155.43, "formation_energy_ev_per_atom": -0.9636, "crystal_system": "monoclinic", "magmom_total_mub_per_atom": 0.0000, "lattice": [[-5.3872, 4.0839, 5.0109], [-0.9537, -6.9579, 4.6355], [10.8133, 3.9357, 11.9444]], "species": ["K", "K", "K", "K", "K", "K", "K", "K", "Al", "Al", "Al", "Al", "Al", "Al", "Al", "Al", "Te", "Te", "Te", "Te", "Te", "Te", "Te", "Te", "Te", "Te", "Te", "Te", "Te", "Te", "Te", "Te"], "frac_coords": [[0.2207, 0.8477, 0.1101], [0.8477, 0.2207, 0.6101], [0.7793, 0.1523, 0.8899], [0.2206, 0.3461, 0.1166], [0.6539, 0.7794, 0.3834], [0.7794, 0.6539, 0.8834], [0.1523, 0.7793, 0.3899], [0.3461, 0.2206, 0.6166], [0.9121, 0.2903, 0.3388], [0.0879, 0.7097, 0.6612], [0.2903, 0.9121, 0.8388], [0.7094, 0.5817, 0.1618], [0.4183, 0.2906, 0.3382], [0.2906, 0.4183, 0.8382], [0.5817, 0.7094, 0.6617], [0.7097, 0.0879, 0.1612], [0.3600, 0.7347, 0.5629], [0.2653, 0.6400, 0.9371], [0.6400, 0.2653, 0.4371], [0.7347, 0.3600, 0.0629], [0.5711, 0.9455, 0.7504], [0.0545, 0.4289, 0.7496], [0.4289, 0.0545, 0.2496], [0.9455, 0.5711, 0.2504], [0.2665, 0.1420, 0.9340], [0.8580, 0.7335, 0.5660], [0.7335, 0.8580, 0.0660], [0.1420, 0.2665, 0.4340], [0.0541, 0.9459, 0.7500], [0.9459, 0.0541, 0.2500], [0.5714, 0.4286, 0.7500], [0.4286, 0.5714, 0.2500]]}

***

No. 9
{"formula": "LaAl", "functional": "r²SCAN", "state": "relaxed", "vol_a3_per_cell": 211.97, "formation_energy_ev_per_atom": -0.4700, "crystal_system": "orthorhombic", "magmom_total_mub_per_atom": 0.0000, "lattice": [[5.7423, 0.0000, 0.0000], [0.0000, 6.0165, -1.1908], [0.0000, 0.0109, 6.1332]], "species": ["La", "La", "La", "La", "Al", "Al", "Al", "Al"], "frac_coords": [[0.7500, 0.1583, 0.5131], [0.2500, 0.8417, 0.4869], [0.7500, 0.5131, 0.1583], [0.2500, 0.4869, 0.8417], [0.7500, 0.6983, 0.6983], [0.2500, 0.3017, 0.3017], [0.5000, 0.0000, 0.0000], [0.0000, 0.0000, 0.0000]]}

***

No. 10
{"formula": "La16Al13", "functional": "r²SCAN", "state": "relaxed", "vol_a3_per_cell": 817.41, "formation_energy_ev_per_atom": -0.4217, "crystal_system": "orthorhombic", "magmom_total_mub_per_atom": 0.0154, "lattice": [[-1.9431, -8.6157, -2.4971], [7.2862, 4.2817, -3.5782], [6.3774, -3.8625, 8.3642]], "species": ["La", "La", "La", "La", "La", "La", "La", "La", "La", "La", "La", "La", "La", "La", "La", "La", "Al", "Al", "Al", "Al", "Al", "Al", "Al", "Al", "Al", "Al", "Al", "Al", "Al"], "frac_coords": [[0.0000, 0.2645, 0.0000], [0.6109, 0.9994, 0.1639], [0.2616, 0.9991, 0.0000], [0.0000, 0.6108, 0.8357], [0.3332, 0.6667, 0.6642], [0.3332, 0.6667, 0.3358], [0.6668, 0.3335, 0.6642], [0.0000, 0.6108, 0.1643], [0.3891, 0.3885, 0.1639], [0.7705, 0.0000, 0.5000], [0.6668, 0.3335, 0.3358], [0.7384, 0.7375, 0.0000], [0.2295, 0.2295, 0.5000], [0.0000, 0.7708, 0.5000], [0.6109, 0.9994, 0.8361], [0.3891, 0.3885, 0.8361], [0.0000, 0.0001, 0.7624], [0.0000, 0.2846, 0.7090], [0.4205, 0.0000, 0.5000], [0.2846, 0.0001, 0.2908], [0.0000, 0.2846, 0.2910], [0.7154, 0.7155, 0.2908], [0.5795, 0.5795, 0.5000], [0.0000, 0.4209, 0.5000], [0.0000, 0.0001, 0.2376], [0.7154, 0.7155, 0.7092], [0.6664, 0.3331, 0.0000], [0.3336, 0.6667, 0.0000], [0.2846, 0.0001, 0.7092]]}

***

No. 11
{"formula": "LaAl2", "functional": "r²SCAN", "state": "relaxed", "vol_a3_per_cell": 134.29, "formation_energy_ev_per_atom": -0.5448, "crystal_system": "cubic", "magmom_total_mub_per_atom": 0.0000, "lattice": [[4.9779, 0.0000, 2.8740], [1.6593, 4.6932, 2.8740], [0.0000, 0.0000, 5.7480]], "species": ["La", "La", "Al", "Al", "Al", "Al"], "frac_coords": [[0.8750, 0.8750, 0.8750], [0.1250, 0.1250, 0.1250], [0.5000, 0.5000, 0.5000], [0.5000, 0.5000, 0.0000], [0.0000, 0.5000, 0.5000], [0.5000, 0.0000, 0.5000]]}

***

No. 12
{"formula": "LaAl4", "functional": "r²SCAN", "state": "relaxed", "vol_a3_per_cell": 317.20, "formation_energy_ev_per_atom": -0.3867, "magmom_total_mub_per_atom": 0.0000, "lattice": [[-3.6733, 0.2193, 8.0739], [-4.5660, 7.4713, -1.4355], [1.3227, -8.6952, -1.1721]], "species": ["La", "La", "La", "Al", "Al", "Al", "Al", "Al", "Al", "Al", "Al", "Al", "Al", "Al", "Al"], "frac_coords": [[0.0008, 0.0000, 0.0008], [0.3341, 0.3334, 0.0007], [0.6673, 0.6666, 0.0007], [0.6155, 0.0000, 0.6155], [0.3855, 0.0000, 0.3855], [0.2499, 0.5000, 0.7499], [0.7514, 0.5000, 0.2514], [0.5839, 0.8336, 0.7503], [0.9167, 0.1664, 0.7503], [0.2827, 0.6669, 0.6157], [0.9488, 0.3331, 0.6157], [0.0526, 0.6667, 0.3859], [0.7192, 0.3333, 0.3859], [0.0845, 0.8332, 0.2513], [0.4181, 0.1668, 0.2513]]}